No. 1
Material: Na2FeO3
Method: DFT, r²SCAN
State: optimized geometry

Cell lengths 5.1426, 8.9223, 10.6656 Å; angles 90.00, 99.66, 90.00 degrees
Closest atoms and distances in Å follow each position.
Space group C2/c (No. 15)
Unique sites:
1 Na 0.0000 0.0857 0.2500  6 O 2.20-2.21
2 Na 0.2361 0.0776 0.9991  5 O 2.22-2.45
3 Na 0.2500 0.2500 0.5000  6 O 2.19-2.42
4 Fe 0.0000 0.2472 0.7500  6 O 1.92-1.94
5 Fe 0.0000 0.4203 0.2500  6 O 1.91-1.93
6 O 0.0879 0.4134 0.6512  2 Fe 1.92
7 O 0.1538 0.1017 0.6491  2 Fe 1.93-1.94
8 O 0.1544 0.2759 0.1518  2 Fe 1.91-1.92

Summary:
- energy of formation (kJ/mol of atoms) = -158.8
- final energy (eV per formula unit) = -49.33

***

No. 2
Material: BaZnGe
Method: DFT, r²SCAN
State: optimized geometry

Cell lengths 4.4341, 4.4341, 9.8079 Å; angles 90.00, 90.00, 120.00 degrees
Closest atoms and distances in Å follow each position.
Space group P6_3/mmc (No. 194)
Unique sites:
1 Ba 0.0000 0.0000 0.0000  6 Ge 3.54, 6 Zn 3.54
2 Zn 0.3333 0.6667 0.2500  3 Ge 2.56
3 Ge 0.3333 0.6667 0.7500  3 Zn 2.56

Summary:
- energy of formation (kJ/mol of atoms) = -53.2
- final energy (eV per formula unit) = -50.94

***

No. 3
Material: NiAs2O4
Method: DFT, r²SCAN
State: optimized geometry

Cell lengths 8.2258, 8.2258, 5.6244 Å; angles 90.00, 90.00, 90.00 degrees
Closest atoms and distances in Å follow each position.
Space group P4_2/mbc (No. 135)
Unique sites:
1 Ni 0.0000 0.5000 0.2500  6 O 2.01-2.11
2 As 0.1703 0.1828 0.0000  3 O 1.74-1.86
3 O 0.1080 0.3625 0.5000  1 As 1.74
4 O 0.1812 0.6812 0.2500  2 As 1.86

Summary:
- energy of formation (kJ/mol of atoms) = -124.4
- final energy (eV per formula unit) = -74.31